[1]
An optimized crystal structure of La6Co13Pb. Source: Materials Project, functional GGA-PBE.

- formation energy (eV per atom) = -0.14
- total energy (eV per cell) = -257.1
- crystal system = tetragonal

Unit cell a=12.868 b=12.868 c=12.868 alpha=143.38 beta=143.38 gamma=52.75
Fractional coordinates of all 40 atoms:
La1 0.019 0.519 0.178
La2 0.100 0.100 0.000
La3 0.159 0.981 0.500
La4 0.341 0.841 0.822
La5 0.400 0.400 0.000
La6 0.481 0.659 0.500
La7 0.519 0.341 0.500
La8 0.600 0.600 0.000
La9 0.659 0.159 0.178
La10 0.841 0.019 0.500
La11 0.900 0.900 0.000
La12 0.981 0.481 0.822
Co1 0.000 0.500 0.500
Co2 0.025 0.298 0.500
Co3 0.065 0.215 0.280
Co4 0.121 0.621 0.854
Co5 0.202 0.475 0.500
Co6 0.215 0.935 0.150
Co7 0.233 0.733 0.854
Co8 0.267 0.121 0.500
Co9 0.285 0.435 0.720
Co10 0.298 0.798 0.274
Co11 0.379 0.233 0.500
Co12 0.435 0.715 0.150
Co13 0.475 0.975 0.274
Co14 0.500 0.000 0.500
Co15 0.525 0.025 0.726
Co16 0.565 0.285 0.850
Co17 0.621 0.767 0.500
Co18 0.702 0.202 0.726
Co19 0.715 0.565 0.280
Co20 0.733 0.879 0.500
Co21 0.767 0.267 0.146
Co22 0.785 0.065 0.850
Co23 0.798 0.525 0.500
Co24 0.879 0.379 0.146
Co25 0.935 0.785 0.720
Co26 0.975 0.702 0.500
Pb1 0.250 0.250 0.000
Pb2 0.750 0.750 0.000

=====

[2]
An optimized crystal structure of La4CoS7. Source: Materials Project, functional GGA-PBE.

- formation energy (eV per atom) = -2.02
- total energy (eV per cell) = -153.0
- crystal system = monoclinic

Unit cell a=9.934 b=7.017 c=9.960 alpha=90.00 beta=119.88 gamma=90.00
Fractional coordinates of all 24 atoms:
La1 0.127 0.000 0.281
La2 0.164 0.963 0.833
La3 0.281 0.501 0.653
La4 0.345 0.502 0.125
La5 0.655 0.002 0.875
La6 0.719 0.001 0.347
La7 0.836 0.463 0.167
La8 0.873 0.500 0.719
Co1 0.499 0.778 0.504
Co2 0.501 0.278 0.496
S1 0.012 0.743 0.572
S2 0.058 0.742 0.987
S3 0.167 0.348 0.832
S4 0.268 0.612 0.368
S5 0.372 0.110 0.598
S6 0.399 0.114 0.266
S7 0.427 0.745 0.940
S8 0.573 0.245 0.060
S9 0.601 0.614 0.734
S10 0.628 0.610 0.402
S11 0.732 0.112 0.632
S12 0.833 0.848 0.168
S13 0.942 0.242 0.013
S14 0.988 0.243 0.428

=====

[3]
An optimized crystal structure of La6Co13Sb. Source: Materials Project, functional GGA-PBE.

- formation energy (eV per atom) = -0.21
- total energy (eV per cell) = -260.3
- crystal system = tetragonal

Unit cell a=12.874 b=12.874 c=12.874 alpha=143.51 beta=143.51 gamma=52.55
Fractional coordinates of all 40 atoms:
La1 0.020 0.520 0.178
La2 0.100 0.100 0.000
La3 0.159 0.980 0.500
La4 0.341 0.841 0.822
La5 0.400 0.400 0.000
La6 0.480 0.659 0.500
La7 0.520 0.341 0.500
La8 0.600 0.600 0.000
La9 0.659 0.159 0.178
La10 0.841 0.020 0.500
La11 0.900 0.900 0.000
La12 0.980 0.480 0.822
Co1 0.000 0.500 0.500
Co2 0.026 0.298 0.500
Co3 0.066 0.213 0.279
Co4 0.121 0.621 0.854
Co5 0.202 0.474 0.500
Co6 0.213 0.934 0.148
Co7 0.233 0.733 0.854
Co8 0.267 0.121 0.500
Co9 0.287 0.434 0.721
Co10 0.298 0.798 0.272
Co11 0.379 0.233 0.500
Co12 0.434 0.713 0.148
Co13 0.474 0.974 0.272
Co14 0.500 0.000 0.500
Co15 0.526 0.026 0.728
Co16 0.566 0.287 0.852
Co17 0.621 0.767 0.500
Co18 0.702 0.202 0.728
Co19 0.713 0.566 0.279
Co20 0.733 0.879 0.500
Co21 0.767 0.267 0.146
Co22 0.787 0.066 0.852
Co23 0.798 0.526 0.500
Co24 0.879 0.379 0.146
Co25 0.934 0.787 0.721
Co26 0.974 0.702 0.500
Sb1 0.250 0.250 0.000
Sb2 0.750 0.750 0.000

=====

[4]
An optimized crystal structure of LaCoSb2. Source: Materials Project, functional GGA-PBE.

- formation energy (eV per atom) = -0.77
- total energy (eV per cell) = -46.0
- crystal system = tetragonal

Unit cell a=4.399 b=4.399 c=10.035 alpha=90.00 beta=90.00 gamma=90.00
Fractional coordinates of all 8 atoms:
La1 0.250 0.250 0.244
La2 0.750 0.750 0.756
Co1 0.250 0.750 0.000
Co2 0.750 0.250 0.000
Sb1 0.250 0.250 0.873
Sb2 0.250 0.750 0.500
Sb3 0.750 0.250 0.500
Sb4 0.750 0.750 0.127

=====

- Which value of formation energy does entry 1 give?
  -0.14 eV per atom

=====

Repeat the third record exactly.
An optimized crystal structure of La6Co13Sb. Source: Materials Project, functional GGA-PBE.

- formation energy (eV per atom) = -0.21
- total energy (eV per cell) = -260.3
- crystal system = tetragonal

Unit cell a=12.874 b=12.874 c=12.874 alpha=143.51 beta=143.51 gamma=52.55
Fractional coordinates of all 40 atoms:
La1 0.020 0.520 0.178
La2 0.100 0.100 0.000
La3 0.159 0.980 0.500
La4 0.341 0.841 0.822
La5 0.400 0.400 0.000
La6 0.480 0.659 0.500
La7 0.520 0.341 0.500
La8 0.600 0.600 0.000
La9 0.659 0.159 0.178
La10 0.841 0.020 0.500
La11 0.900 0.900 0.000
La12 0.980 0.480 0.822
Co1 0.000 0.500 0.500
Co2 0.026 0.298 0.500
Co3 0.066 0.213 0.279
Co4 0.121 0.621 0.854
Co5 0.202 0.474 0.500
Co6 0.213 0.934 0.148
Co7 0.233 0.733 0.854
Co8 0.267 0.121 0.500
Co9 0.287 0.434 0.721
Co10 0.298 0.798 0.272
Co11 0.379 0.233 0.500
Co12 0.434 0.713 0.148
Co13 0.474 0.974 0.272
Co14 0.500 0.000 0.500
Co15 0.526 0.026 0.728
Co16 0.566 0.287 0.852
Co17 0.621 0.767 0.500
Co18 0.702 0.202 0.728
Co19 0.713 0.566 0.279
Co20 0.733 0.879 0.500
Co21 0.767 0.267 0.146
Co22 0.787 0.066 0.852
Co23 0.798 0.526 0.500
Co24 0.879 0.379 0.146
Co25 0.934 0.787 0.721
Co26 0.974 0.702 0.500
Sb1 0.250 0.250 0.000
Sb2 0.750 0.750 0.000